# 1
A geometry-optimized ThFe4Ni structure. Source: the Materials Project, functional PBE.

Properties
**Spin magnetization**: 9.137 μB per formula unit
**Symmetry**: P-6m2 (187)
**Energy of formation**: -94 meV/atom

a b c (Å): 5.0266 5.0266 4.1176
angles (deg): 90.00 90.00 120.00
Closest atoms and distances in Å follow each position.
Positions (direct):
Th  0.0000  0.0000  0.0000  15 Fe 2.90-3.25, 3 Ni 2.90
Fe  0.5014  0.0028  0.5000  6 Fe 2.49-2.53, 2 Ni 2.53
Fe  0.5014  0.4986  0.5000  6 Fe 2.49-2.53, 2 Ni 2.53
Fe  0.6667  0.3333  0.0000  6 Fe 2.51
Fe  0.9972  0.4986  0.5000  6 Fe 2.49-2.53, 2 Ni 2.53
Ni  0.3333  0.6667  0.0000  6 Fe 2.53


# 2
A geometry-optimized Th2Fe5Ni5 structure. Source: the Materials Project, functional PBE.

Properties
**Spin magnetization**: 12.829 μB per formula unit
**Symmetry**: Pmmm (47)
**Energy of formation**: -189 meV/atom

a b c (Å): 3.9924 5.0429 8.6413
angles (deg): 90.00 90.00 90.00
Closest atoms and distances in Å follow each position.
Positions (direct):
Th  0.0000  0.0000  0.0000  10 Fe 2.87-3.22, 8 Ni 3.20
Th  0.0000  0.5000  0.5000  6 Fe 2.91-2.92, 12 Ni 3.20-3.22
Fe  0.0000  0.0000  0.3326  6 Ni 2.46-2.47
Fe  0.0000  0.0000  0.6674  6 Ni 2.46-2.47
Fe  0.0000  0.5000  0.1620  2 Fe 2.44, 4 Ni 2.49
Fe  0.0000  0.5000  0.8380  2 Fe 2.44, 4 Ni 2.49
Fe  0.5000  0.5000  0.0000  4 Fe 2.44, 4 Ni 2.51
Ni  0.5000  0.0000  0.5000  4 Fe 2.47, 4 Ni 2.49
Ni  0.5000  0.2480  0.2502  5 Fe 2.46-2.51, 3 Ni 2.49-2.54
Ni  0.5000  0.2480  0.7498  5 Fe 2.46-2.51, 3 Ni 2.49-2.54
Ni  0.5000  0.7520  0.2502  5 Fe 2.46-2.51, 3 Ni 2.49-2.54
Ni  0.5000  0.7520  0.7498  5 Fe 2.46-2.51, 3 Ni 2.49-2.54


# 3
A geometry-optimized V6FeNi structure. Source: the Materials Project, functional PBE.

Properties
**Symmetry**: Pm-3 (200)
**Energy of formation**: -171 meV/atom

a b c (Å): 4.6666 4.6666 4.6666
angles (deg): 90.00 90.00 90.00
Closest atoms and distances in Å follow each position.
Positions (direct):
V  0.0000  0.2477  0.5000  2 V 2.31-2.35
V  0.0000  0.7523  0.5000  2 V 2.31-2.35
V  0.2477  0.5000  0.0000  2 V 2.31-2.35
V  0.5000  0.0000  0.2477  2 V 2.31-2.35
V  0.5000  0.0000  0.7523  2 V 2.31-2.35
V  0.7523  0.5000  0.0000  2 V 2.31-2.35
Fe  0.0000  0.0000  0.0000  12 V 2.60
Ni  0.5000  0.5000  0.5000  12 V 2.61


# 4
A geometry-optimized YFeNi4 structure. Source: the Materials Project, functional PBE.

Properties
**Spin magnetization**: 4.028 μB per formula unit
**Symmetry**: P-6m2 (187)
**Energy of formation**: -245 meV/atom

a b c (Å): 4.9492 4.9492 3.9244
angles (deg): 90.00 90.00 120.00
Closest atoms and distances in Å follow each position.
Positions (direct):
Y  0.0000  0.0000  0.0000  3 Fe 2.86, 15 Ni 2.86-3.16
Fe  0.3333  0.6667  0.0000  6 Ni 2.43
Ni  0.5004  0.0008  0.5000  6 Ni 2.43-2.48, 2 Fe 2.43
Ni  0.5004  0.4996  0.5000  6 Ni 2.43-2.48, 2 Fe 2.43
Ni  0.6667  0.3333  0.0000  6 Ni 2.43
Ni  0.9992  0.4996  0.5000  6 Ni 2.43-2.48, 2 Fe 2.43


# 5
A geometry-optimized YFeNi structure. Source: the Materials Project, functional PBE.

Properties
**Spin magnetization**: 2.023 μB per formula unit
**Symmetry**: Imma (74)
**Energy of formation**: -206 meV/atom

a b c (Å): 5.1547 5.1547 5.1547
angles (deg): 122.51 119.29 88.47
Closest atoms and distances in Å follow each position.
Positions (direct):
Y  0.3713  0.1213  0.2500  6 Ni 2.94-3.09, 6 Fe 3.01-3.04, 4 Y 3.12-3.16
Y  0.6287  0.8787  0.7500  6 Ni 2.94-3.09, 6 Fe 3.01-3.04, 4 Y 3.12-3.16
Fe  0.0000  0.0000  0.5000  2 Fe 2.48, 4 Ni 2.58
Fe  0.0000  0.5000  0.0000  2 Fe 2.48, 4 Ni 2.58
Ni  0.0000  0.5000  0.5000  4 Fe 2.58, 2 Ni 2.61
Ni  0.5000  0.5000  0.0000  4 Fe 2.58, 2 Ni 2.61


# 6
A geometry-optimized NpFe3 structure. Source: the Materials Project, functional PBE.

Properties
**Spin magnetization**: 0.145 μB per formula unit
**Symmetry**: I4/mmm (139)
**Energy of formation**: 200 meV/atom

a b c (Å): 4.5311 4.5311 4.5311
angles (deg): 131.48 131.48 71.05
Closest atoms and distances in Å follow each position.
Positions (direct):
Np  0.0000  0.0000  0.0000  12 Fe 2.62-2.63
Fe  0.2500  0.7500  0.5000  8 Fe 2.62-2.63, 4 Np 2.62
Fe  0.5000  0.5000  0.0000  8 Fe 2.62, 4 Np 2.63
Fe  0.7500  0.2500  0.5000  8 Fe 2.62-2.63, 4 Np 2.62


Copy entry 6 word for word.
A geometry-optimized NpFe3 structure. Source: the Materials Project, functional PBE.

Properties
**Spin magnetization**: 0.145 μB per formula unit
**Symmetry**: I4/mmm (139)
**Energy of formation**: 200 meV/atom

a b c (Å): 4.5311 4.5311 4.5311
angles (deg): 131.48 131.48 71.05
Closest atoms and distances in Å follow each position.
Positions (direct):
Np  0.0000  0.0000  0.0000  12 Fe 2.62-2.63
Fe  0.2500  0.7500  0.5000  8 Fe 2.62-2.63, 4 Np 2.62
Fe  0.5000  0.5000  0.0000  8 Fe 2.62, 4 Np 2.63
Fe  0.7500  0.2500  0.5000  8 Fe 2.62-2.63, 4 Np 2.62


Copy entry 3 word for word.
A geometry-optimized V6FeNi structure. Source: the Materials Project, functional PBE.

Properties
**Symmetry**: Pm-3 (200)
**Energy of formation**: -171 meV/atom

a b c (Å): 4.6666 4.6666 4.6666
angles (deg): 90.00 90.00 90.00
Closest atoms and distances in Å follow each position.
Positions (direct):
V  0.0000  0.2477  0.5000  2 V 2.31-2.35
V  0.0000  0.7523  0.5000  2 V 2.31-2.35
V  0.2477  0.5000  0.0000  2 V 2.31-2.35
V  0.5000  0.0000  0.2477  2 V 2.31-2.35
V  0.5000  0.0000  0.7523  2 V 2.31-2.35
V  0.7523  0.5000  0.0000  2 V 2.31-2.35
Fe  0.0000  0.0000  0.0000  12 V 2.60
Ni  0.5000  0.5000  0.5000  12 V 2.61


Among the records above, which one has the lowest energy of formation? YFeNi4


The highest energy of formation belongs to which entry? NpFe3